No. 1
Na4HfZrSi3O12: optimized geometry, PBE-GGA.

a = 9.267 Å, b = 9.267 Å, c = 23.041 Å
α = 90.00°, β = 90.00°, γ = 120.00°
Positions (direct):
Na1 0.000 0.000 0.083
Na2 0.000 0.000 0.583
Na3 0.000 0.366 0.333
Na4 0.000 0.634 0.833
Na5 0.033 0.333 0.666
Na6 0.033 0.700 0.167
Na7 0.300 0.333 0.167
Na8 0.300 0.967 0.666
Na9 0.333 0.301 0.500
Na10 0.333 0.667 0.250
Na11 0.333 0.667 0.750
Na12 0.334 0.033 0.000
Na13 0.366 0.000 0.333
Na14 0.366 0.366 0.833
Na15 0.634 0.000 0.833
Na16 0.634 0.634 0.333
Na17 0.667 0.333 0.416
Na18 0.667 0.333 0.917
Na19 0.667 0.700 0.666
Na20 0.667 0.967 0.167
Na21 0.699 0.033 0.500
Na22 0.700 0.666 0.000
Na23 0.967 0.300 0.000
Na24 0.967 0.667 0.500
Hf1 0.000 0.000 0.232
Hf2 0.000 0.000 0.434
Hf3 0.333 0.667 0.102
Hf4 0.667 0.333 0.066
Hf5 0.667 0.333 0.268
Hf6 0.667 0.333 0.565
Zr1 0.000 0.000 0.732
Zr2 0.000 0.000 0.935
Zr3 0.333 0.667 0.399
Zr4 0.333 0.667 0.601
Zr5 0.333 0.667 0.899
Zr6 0.667 0.333 0.767
Si1 0.000 0.294 0.833
Si2 0.038 0.371 0.500
Si3 0.039 0.665 0.001
Si4 0.292 0.291 0.333
Si5 0.294 0.000 0.833
Si6 0.333 0.962 0.500
Si7 0.335 0.374 0.001
Si8 0.374 0.041 0.167
Si9 0.374 0.333 0.666
Si10 0.626 0.961 0.001
Si11 0.629 0.667 0.500
Si12 0.667 0.041 0.666
Si13 0.667 0.626 0.167
Si14 0.706 0.706 0.833
Si15 0.709 0.001 0.333
Si16 0.959 0.333 0.167
Si17 0.959 0.626 0.666
Si18 0.999 0.708 0.333
O1 0.021 0.187 0.493
O2 0.023 0.834 0.995
O3 0.032 0.828 0.276
O4 0.033 0.208 0.776
O5 0.124 0.632 0.943
O6 0.125 0.492 0.443
O7 0.145 0.501 0.160
O8 0.145 0.644 0.661
O9 0.159 0.457 0.556
O10 0.161 0.698 0.057
O11 0.165 0.979 0.493
O12 0.166 0.189 0.995
O13 0.167 0.690 0.339
O14 0.168 0.479 0.839
O15 0.172 0.204 0.276
O16 0.174 0.967 0.776
O17 0.189 0.023 0.173
O18 0.189 0.165 0.671
O19 0.205 0.172 0.390
O20 0.207 0.033 0.890
O21 0.299 0.841 0.556
O22 0.302 0.463 0.057
O23 0.310 0.477 0.339
O24 0.311 0.832 0.839
O25 0.356 0.501 0.661
O26 0.357 0.855 0.160
O27 0.368 0.492 0.943
O28 0.368 0.875 0.443
O29 0.461 0.161 0.110
O30 0.463 0.301 0.609
O31 0.478 0.168 0.828
O32 0.478 0.309 0.327
O33 0.492 0.367 0.723
O34 0.495 0.128 0.223
O35 0.499 0.643 0.160
O36 0.499 0.855 0.661
O37 0.501 0.147 0.506
O38 0.502 0.356 0.007
O39 0.508 0.632 0.443
O40 0.508 0.876 0.943
O41 0.521 0.689 0.839
O42 0.523 0.833 0.339
O43 0.537 0.839 0.057
O44 0.543 0.701 0.556
O45 0.633 0.126 0.723
O46 0.634 0.505 0.223
O47 0.644 0.146 0.007
O48 0.645 0.499 0.506
O49 0.689 0.522 0.828
O50 0.691 0.169 0.327
O51 0.699 0.161 0.609
O52 0.700 0.539 0.110
O53 0.792 0.826 0.776
O54 0.796 0.968 0.276
O55 0.811 0.977 0.995
O56 0.813 0.835 0.493
O57 0.826 0.793 0.890
O58 0.828 0.033 0.390
O59 0.831 0.522 0.327
O60 0.832 0.311 0.828
O61 0.834 0.811 0.173
O62 0.835 0.024 0.671
O63 0.839 0.300 0.110
O64 0.839 0.537 0.609
O65 0.853 0.355 0.506
O66 0.854 0.498 0.007
O67 0.872 0.366 0.223
O68 0.874 0.508 0.723
O69 0.967 0.174 0.890
O70 0.967 0.795 0.390
O71 0.976 0.811 0.671
O72 0.977 0.166 0.173

ΔE_f: -304 kJ/mol of atoms
SG: P3 (143)

---

No. 2
HfNbO4: optimized geometry, PBE-GGA.

a = 6.304 Å, b = 6.304 Å, c = 5.115 Å
α = 112.06°, β = 112.06°, γ = 112.88°
Positions (direct):
Hf1 0.118 0.882 0.750
Hf2 0.882 0.118 0.250
Nb1 0.355 0.645 0.250
Nb2 0.645 0.355 0.750
O1 0.048 0.488 0.754
O2 0.186 0.258 0.145
O3 0.258 0.186 0.645
O4 0.488 0.048 0.254
O5 0.512 0.952 0.746
O6 0.742 0.814 0.355
O7 0.814 0.742 0.855
O8 0.952 0.512 0.246

ΔE_f: -322 kJ/mol of atoms
SG: C2/c (15)

---

No. 3
Hf2Nb2Si3S3O24: optimized geometry, PBE-GGA.

a = 8.945 Å, b = 8.957 Å, c = 23.023 Å
α = 89.29°, β = 89.27°, γ = 60.26°
Positions (direct):
Hf1 0.000 0.000 0.000
Hf2 0.006 0.989 0.496
Hf3 0.334 0.334 0.333
Hf4 0.351 0.313 0.830
Hf5 0.659 0.668 0.660
Hf6 0.679 0.643 0.164
Nb1 0.019 0.977 0.210
Nb2 0.339 0.333 0.047
Nb3 0.359 0.307 0.542
Nb4 0.672 0.656 0.875
Nb5 0.673 0.664 0.381
Nb6 0.988 0.999 0.703
Si1 0.002 0.276 0.104
Si2 0.285 0.993 0.601
Si3 0.292 0.708 0.102
Si4 0.333 0.612 0.437
Si5 0.626 0.039 0.435
Si6 0.626 0.319 0.936
Si7 0.672 0.942 0.768
Si8 0.714 0.283 0.600
Si9 0.957 0.652 0.269
S1 0.004 0.699 0.603
S2 0.047 0.323 0.437
S3 0.047 0.610 0.936
S4 0.336 0.033 0.937
S5 0.379 0.658 0.770
S6 0.383 0.943 0.270
S7 0.671 0.365 0.270
S8 0.714 0.988 0.104
S9 0.957 0.367 0.770
O1 0.024 0.173 0.443
O2 0.024 0.782 0.944
O3 0.031 0.151 0.160
O4 0.031 0.782 0.656
O5 0.121 0.356 0.488
O6 0.123 0.499 0.989
O7 0.127 0.349 0.781
O8 0.145 0.488 0.279
O9 0.152 0.529 0.884
O10 0.153 0.294 0.384
O11 0.156 0.527 0.596
O12 0.163 0.794 0.160
O13 0.164 0.015 0.661
O14 0.172 0.798 0.446
O15 0.175 0.293 0.089
O16 0.185 0.010 0.943
O17 0.196 0.817 0.045
O18 0.199 0.958 0.547
O19 0.206 0.960 0.262
O20 0.207 0.810 0.763
O21 0.301 0.167 0.593
O22 0.306 0.142 0.884
O23 0.306 0.514 0.093
O24 0.306 0.521 0.380
O25 0.357 0.116 0.278
O26 0.357 0.505 0.780
O27 0.363 0.484 0.493
O28 0.367 0.109 0.988
O29 0.457 0.832 0.322
O30 0.464 0.682 0.823
O31 0.473 0.829 0.613
O32 0.478 0.680 0.115
O33 0.485 0.864 0.217
O34 0.490 0.622 0.719
O35 0.491 0.857 0.927
O36 0.496 0.351 0.993
O37 0.499 0.122 0.493
O38 0.503 0.128 0.780
O39 0.509 0.625 0.423
O40 0.517 0.345 0.277
O41 0.523 0.297 0.595
O42 0.528 0.298 0.881
O43 0.530 0.150 0.379
O44 0.538 0.144 0.094
O45 0.638 0.475 0.218
O46 0.639 0.846 0.426
O47 0.642 0.848 0.715
O48 0.643 0.494 0.923
O49 0.689 0.840 0.111
O50 0.694 0.464 0.617
O51 0.695 0.817 0.827
O52 0.699 0.445 0.321
O53 0.789 0.022 0.155
O54 0.803 0.154 0.660
O55 0.811 0.154 0.946
O56 0.812 0.009 0.447
O57 0.819 0.960 0.051
O58 0.824 0.192 0.260
O59 0.829 0.684 0.326
O60 0.834 0.186 0.547
O61 0.839 0.464 0.112
O62 0.844 0.449 0.823
O63 0.845 0.960 0.760
O64 0.851 0.680 0.613
O65 0.862 0.633 0.214
O66 0.871 0.477 0.427
O67 0.871 0.626 0.928
O68 0.878 0.474 0.719
O69 0.970 0.809 0.552
O70 0.971 0.830 0.258
O71 0.972 0.188 0.047
O72 0.974 0.194 0.764

ΔE_f: -271 kJ/mol of atoms
SG: P1 (1)

---

No. 4
SrHfNbSnO6: optimized geometry, PBE-GGA.

a = 5.823 Å, b = 5.823 Å, c = 5.823 Å
α = 60.00°, β = 60.00°, γ = 60.00°
Positions (direct):
Sr1 0.000 0.000 0.000
Hf1 0.250 0.250 0.250
Nb1 0.750 0.750 0.750
Sn1 0.500 0.500 0.500
O1 0.502 0.502 0.998
O2 0.502 0.998 0.502
O3 0.502 0.998 0.998
O4 0.998 0.502 0.502
O5 0.998 0.502 0.998
O6 0.998 0.998 0.502

ΔE_f: -288 kJ/mol of atoms
SG: F-43m (216)

---

No. 5
Nd3Hf: optimized geometry, PBE-GGA.

a = 5.001 Å, b = 5.001 Å, c = 5.001 Å
α = 90.00°, β = 90.00°, γ = 90.00°
Positions (direct):
Nd1 0.000 0.000 0.500
Nd2 0.000 0.500 0.000
Nd3 0.500 0.000 0.000
Hf1 0.500 0.500 0.500

ΔE_f: 19 kJ/mol of atoms
SG: Pm-3m (221)
energy above the lowest structure with this stoichiometry: 0.000 eV/atom

---

No. 6
NdHf: optimized geometry, PBE-GGA.

a = 3.383 Å, b = 3.383 Å, c = 5.592 Å
α = 90.00°, β = 90.00°, γ = 120.00°
Positions (direct):
Nd1 0.000 0.000 0.000
Hf1 0.333 0.667 0.500

ΔE_f: 28 kJ/mol of atoms
SG: P-6m2 (187)

---

No. 7
Nd3Hf: optimized geometry, PBE-GGA.

a = 6.098 Å, b = 6.098 Å, c = 6.098 Å
α = 131.50°, β = 131.50°, γ = 71.01°
Positions (direct):
Nd1 0.000 0.000 0.000
Nd2 0.250 0.750 0.500
Nd3 0.750 0.250 0.500
Hf1 0.500 0.500 0.000

ΔE_f: 19 kJ/mol of atoms
SG: I4/mmm (139)
energy above the lowest structure with this stoichiometry: 0.002 eV/atom

---

No. 8
NdHfO14: optimized geometry, PBE-GGA.

a = 7.620 Å, b = 7.620 Å, c = 7.620 Å
α = 60.00°, β = 60.00°, γ = 60.00°
Positions (direct):
Nd1 0.125 0.125 0.125
Nd2 0.875 0.875 0.875
Hf1 0.375 0.375 0.375
Hf2 0.625 0.625 0.625
O1 0.000 0.000 0.000
O2 0.000 0.000 0.500
O3 0.000 0.500 0.000
O4 0.090 0.358 0.358
O5 0.090 0.358 0.694
O6 0.090 0.694 0.358
O7 0.306 0.642 0.642
O8 0.306 0.642 0.910
O9 0.306 0.910 0.642
O10 0.358 0.090 0.358
O11 0.358 0.090 0.694
O12 0.358 0.358 0.090
O13 0.358 0.358 0.694
O14 0.358 0.694 0.090
O15 0.358 0.694 0.358
O16 0.500 0.000 0.000
O17 0.642 0.306 0.642
O18 0.642 0.306 0.910
O19 0.642 0.642 0.306
O20 0.642 0.642 0.910
O21 0.642 0.910 0.306
O22 0.642 0.910 0.642
O23 0.694 0.090 0.358
O24 0.694 0.358 0.090
O25 0.694 0.358 0.358
O26 0.910 0.306 0.642
O27 0.910 0.642 0.306
O28 0.910 0.642 0.642

ΔE_f: -57 kJ/mol of atoms
SG: Fd-3m (227)

---

| no. | magnetic moment (μB/f.u.) |
| --- | --- |
| 1 | 0.0 |
| 2 | 1.0 |
| 3 | 0.0 |
| 4 | 0.4 |
| 5 | 0.0 |
| 6 | 0.0 |
| 7 | 0.0 |
| 8 | 0.0 |